Entry 1:
La3Al2Ga3SnO14 after structural relaxation, computed with PBE.

Lattice parameters (Å, degrees): 8.314 8.314 5.183 90.00 90.00 120.00
Element x y z (fractional)
La: 0.000 0.430 0.000
La: 0.430 0.000 0.000
La: 0.570 0.570 0.000
Al: 0.333 0.667 0.464
Al: 0.667 0.333 0.536
Ga: 0.000 0.753 0.500
Ga: 0.247 0.247 0.500
Ga: 0.753 0.000 0.500
Sn: 0.000 0.000 0.000
O: 0.084 0.230 0.760
O: 0.146 0.916 0.760
O: 0.151 0.685 0.311
O: 0.230 0.084 0.240
O: 0.315 0.466 0.311
O: 0.333 0.667 0.802
O: 0.466 0.315 0.689
O: 0.534 0.849 0.311
O: 0.667 0.333 0.198
O: 0.685 0.151 0.689
O: 0.770 0.854 0.760
O: 0.849 0.534 0.689
O: 0.854 0.770 0.240
O: 0.916 0.146 0.240

## Properties
M_tot: 0.00 μB per formula unit
total energy: -7.213 eV/atom
formation energy: -3.08 eV per atom

Entry 2:
Ca2Mg after structural relaxation, computed with PBE.

Lattice parameters (Å, degrees): 3.739 18.899 5.917 90.00 90.00 90.00
Element x y z (fractional)
Ca: 0.000 0.092 0.250
Ca: 0.000 0.214 0.750
Ca: 0.000 0.786 0.250
Ca: 0.000 0.908 0.750
Ca: 0.500 0.286 0.250
Ca: 0.500 0.408 0.750
Ca: 0.500 0.592 0.250
Ca: 0.500 0.714 0.750
Mg: 0.000 0.442 0.250
Mg: 0.000 0.558 0.750
Mg: 0.500 0.058 0.750
Mg: 0.500 0.942 0.250

## Properties
total energy: -1.901 eV/atom
formation energy: -0.03 eV per atom

Entry 3:
ErHCl after structural relaxation, computed with PBE.

Lattice parameters (Å, degrees): 9.545 9.545 9.545 22.44 22.44 22.44
Element x y z (fractional)
Er: 0.119 0.119 0.119
Er: 0.881 0.881 0.881
H: 0.197 0.197 0.197
H: 0.803 0.803 0.803
Cl: 0.391 0.391 0.391
Cl: 0.609 0.609 0.609

## Properties
total energy: -4.676 eV/atom
formation energy: -1.61 eV per atom

Entry 4:
CsMg6AlO8 after structural relaxation, computed with PBE.

Lattice parameters (Å, degrees): 4.753 4.753 8.567 90.00 90.00 90.00
Element x y z (fractional)
Cs: 0.000 0.000 0.000
Mg: 0.000 0.500 0.254
Mg: 0.000 0.500 0.746
Mg: 0.500 0.000 0.254
Mg: 0.500 0.000 0.746
Mg: 0.500 0.500 0.000
Mg: 0.500 0.500 0.500
Al: 0.000 0.000 0.500
O: 0.000 0.000 0.300
O: 0.000 0.000 0.700
O: 0.000 0.500 0.000
O: 0.000 0.500 0.500
O: 0.500 0.000 0.000
O: 0.500 0.000 0.500
O: 0.500 0.500 0.253
O: 0.500 0.500 0.747

## Properties
M_tot: 0.13 μB per formula unit
total energy: -5.379 eV/atom
energy above the most stable polymorph in this dataset: 0.0000 eV/atom
formation energy: -2.36 eV per atom